[1]
Here is crystalline YLuTl2 at its relaxed geometry from the Materials Project database. Energies are from GGA-PBE.

```
YLuTl2
1.0
0.000 3.778 3.778
3.778 0.000 3.778
3.778 3.778 0.000
Y Lu Tl
1 1 2
Direct
0.000 0.000 0.000
0.500 0.500 0.500
0.250 0.250 0.250
0.750 0.750 0.750
```

## Properties
Energy of formation (eV/atom): -0.316

[2]
Here is crystalline Lu2TlZn at its relaxed geometry from the Materials Project database. Energies are from GGA-PBE.

```
Lu2TlZn
1.0
0.000 3.617 3.617
3.617 0.000 3.617
3.617 3.617 0.000
Lu Tl Zn
2 1 1
Direct
0.250 0.250 0.250
0.750 0.750 0.750
0.000 0.000 0.000
0.500 0.500 0.500
```

## Properties
Energy of formation (eV/atom): -0.288
Total magnetic moment (μB/cell): 0.001